The following is a DFT calculation (PBE) of a relaxed structure of Cs2Na4Cu2Si12H4O31.

## Properties
E_tot = -749.66 eV per cell
Density = 2.80 g/cm3
Magnetic moment = 0.04 μB/atom
Calculated volume = 1567.9 Å³/cell

Cell lengths 13.113, 13.113, 18.320 Å; angles 67.96, 112.04, 147.26 degrees
Sites, in units of the cell vectors:
Cs (0.257, 0.213, 0.619)
Cs (0.213, 0.257, 0.881)
Cs (0.743, 0.787, 0.381)
Cs (0.787, 0.743, 0.119)
Na (0.018, 0.520, 0.648)
Na (0.520, 0.018, 0.852)
Na (0.982, 0.480, 0.352)
Na (0.480, 0.982, 0.148)
Na (0.536, 0.981, 0.667)
Na (0.981, 0.536, 0.833)
Na (0.464, 0.019, 0.333)
Na (0.019, 0.464, 0.167)
Cu (0.752, 0.274, 0.487)
Cu (0.274, 0.752, 0.013)
Cu (0.248, 0.726, 0.513)
Cu (0.726, 0.248, 0.987)
Si (0.622, 0.380, 0.509)
Si (0.380, 0.622, 0.991)
Si (0.378, 0.620, 0.491)
Si (0.620, 0.378, 0.009)
Si (0.220, 0.942, 0.530)
Si (0.942, 0.220, 0.970)
Si (0.780, 0.058, 0.470)
Si (0.058, 0.780, 0.030)
Si (0.898, 0.166, 0.629)
Si (0.166, 0.898, 0.871)
Si (0.102, 0.834, 0.371)
Si (0.834, 0.102, 0.129)
Si (0.810, 0.691, 0.743)
Si (0.691, 0.810, 0.757)
Si (0.190, 0.309, 0.257)
Si (0.309, 0.190, 0.243)
Si (0.551, 0.323, 0.848)
Si (0.323, 0.551, 0.652)
Si (0.449, 0.677, 0.152)
Si (0.677, 0.449, 0.348)
Si (0.880, 0.662, 0.622)
Si (0.662, 0.880, 0.878)
Si (0.120, 0.338, 0.378)
Si (0.338, 0.120, 0.122)
H (0.707, 0.331, 0.707)
H (0.331, 0.707, 0.793)
H (0.293, 0.669, 0.293)
H (0.669, 0.293, 0.207)
H (0.149, 0.490, 0.822)
H (0.490, 0.149, 0.678)
H (0.851, 0.510, 0.178)
H (0.510, 0.851, 0.322)
O (0.844, 0.734, 0.653)
O (0.734, 0.844, 0.847)
O (0.156, 0.266, 0.347)
O (0.266, 0.156, 0.153)
O (0.886, 0.100, 0.562)
O (0.100, 0.886, 0.938)
O (0.114, 0.900, 0.438)
O (0.900, 0.114, 0.062)
O (0.408, 0.172, 0.536)
O (0.172, 0.408, 0.964)
O (0.592, 0.828, 0.464)
O (0.828, 0.592, 0.036)
O (0.813, 0.813, 0.750)
O (0.187, 0.187, 0.250)
O (0.403, 0.571, 0.589)
O (0.571, 0.403, 0.911)
O (0.597, 0.429, 0.411)
O (0.429, 0.597, 0.089)
O (0.079, 0.863, 0.582)
O (0.863, 0.079, 0.918)
O (0.921, 0.137, 0.418)
O (0.137, 0.921, 0.082)
O (0.323, 0.117, 0.825)
O (0.117, 0.323, 0.675)
O (0.677, 0.883, 0.175)
O (0.883, 0.677, 0.325)
O (0.608, 0.463, 0.764)
O (0.463, 0.608, 0.736)
O (0.392, 0.537, 0.236)
O (0.537, 0.392, 0.264)
O (0.702, 0.535, 0.550)
O (0.535, 0.702, 0.950)
O (0.298, 0.465, 0.450)
O (0.465, 0.298, 0.050)
O (0.760, 0.984, 0.696)
O (0.984, 0.760, 0.804)
O (0.240, 0.016, 0.304)
O (0.016, 0.240, 0.196)
O (0.270, 0.854, 0.564)
O (0.854, 0.270, 0.936)
O (0.730, 0.146, 0.436)
O (0.146, 0.730, 0.064)
O (0.677, 0.315, 0.878)
O (0.315, 0.677, 0.622)
O (0.323, 0.685, 0.122)
O (0.685, 0.323, 0.378)
O (0.830, 0.236, 0.596)
O (0.236, 0.830, 0.904)
O (0.170, 0.764, 0.404)
O (0.764, 0.170, 0.096)
O (0.768, 0.398, 0.533)
O (0.398, 0.768, 0.967)
O (0.232, 0.602, 0.467)
O (0.602, 0.232, 0.033)
O (0.890, 0.551, 0.691)
O (0.551, 0.890, 0.809)
O (0.110, 0.449, 0.309)
O (0.449, 0.110, 0.191)
O (0.184, 0.589, 0.784)
O (0.589, 0.184, 0.716)
O (0.816, 0.411, 0.216)
O (0.411, 0.816, 0.284)

***

The following is a DFT calculation (PBE) of a relaxed structure of CeSe2.

## Properties
E_tot = -16.96 eV per cell
Density = 1.41 g/cm3
Magnetic moment = 0.00 μB/atom
Calculated volume = 352.2 Å³/cell

Cell lengths 24.725, 24.558, 4.071 Å; angles 87.61, 82.93, 9.47 degrees
Sites, in units of the cell vectors:
Ce (0.071, 0.929, 0.071)
Se (0.771, 0.298, 0.702)
Se (0.702, 0.229, 0.771)

***

The following is a DFT calculation (PBE) of a relaxed structure of Eu4B4O11F2.

## Properties
E_tot = -368.30 eV per cell
Density = 6.22 g/cm3
Magnetic moment = 1.14 μB/atom
Calculated volume = 461.7 Å³/cell

Cell lengths 7.385, 7.385, 13.945 Å; angles 89.11, 89.11, 37.39 degrees
Sites, in units of the cell vectors:
Eu (0.456, 0.422, 0.372)
Eu (0.578, 0.544, 0.128)
Eu (0.544, 0.578, 0.628)
Eu (0.422, 0.456, 0.872)
Eu (0.739, 0.705, 0.373)
Eu (0.295, 0.261, 0.127)
Eu (0.261, 0.295, 0.627)
Eu (0.705, 0.739, 0.873)
B (0.064, 0.118, 0.288)
B (0.882, 0.936, 0.212)
B (0.936, 0.882, 0.712)
B (0.118, 0.064, 0.788)
B (0.861, 0.949, 0.526)
B (0.051, 0.139, 0.974)
B (0.139, 0.051, 0.474)
B (0.949, 0.861, 0.026)
O (0.959, 0.217, 0.393)
O (0.783, 0.041, 0.107)
O (0.041, 0.783, 0.607)
O (0.217, 0.959, 0.893)
O (0.650, 0.008, 0.257)
O (0.992, 0.350, 0.243)
O (0.350, 0.992, 0.743)
O (0.008, 0.650, 0.757)
O (0.592, 0.251, 0.535)
O (0.749, 0.408, 0.965)
O (0.408, 0.749, 0.465)
O (0.251, 0.592, 0.035)
O (0.850, 0.150, 0.250)
O (0.150, 0.850, 0.750)
O (0.947, 0.827, 0.437)
O (0.173, 0.053, 0.063)
O (0.053, 0.173, 0.563)
O (0.827, 0.947, 0.937)
O (0.372, 0.826, 0.276)
O (0.174, 0.628, 0.224)
O (0.628, 0.174, 0.724)
O (0.826, 0.372, 0.776)
F (0.294, 0.245, 0.425)
F (0.755, 0.706, 0.075)
F (0.706, 0.755, 0.575)
F (0.245, 0.294, 0.925)

***

The following is a DFT calculation (PBE) of a relaxed structure of CdPbS2.

## Properties
E_tot = -14.92 eV per cell
Density = 6.68 g/cm3
Magnetic moment = 0.00 μB/atom
Calculated volume = 95.4 Å³/cell

Cell lengths 7.029, 7.029, 7.029 Å; angles 33.73, 33.73, 33.73 degrees
Sites, in units of the cell vectors:
Cd (0.000, 0.000, 0.000)
Pb (0.500, 0.500, 0.500)
S (0.259, 0.259, 0.259)
S (0.741, 0.741, 0.741)

***

The following is a DFT calculation (PBE) of a relaxed structure of CaZrSi6H4O17.

## Properties
E_tot = -428.58 eV per cell
Density = 2.50 g/cm3
Magnetic moment = 0.00 μB/atom
Calculated volume = 763.5 Å³/cell

Cell lengths 7.959, 10.079, 10.079 Å; angles 90.60, 103.38, 103.38 degrees
Sites, in units of the cell vectors:
Ca (0.047, 0.755, 0.755)
Ca (0.953, 0.245, 0.245)
Zr (0.000, 0.000, 0.500)
Zr (0.000, 0.500, 0.000)
Si (0.338, 0.574, 0.801)
Si (0.338, 0.801, 0.574)
Si (0.662, 0.426, 0.199)
Si (0.662, 0.199, 0.426)
Si (0.730, 0.730, 0.950)
Si (0.730, 0.950, 0.730)
Si (0.270, 0.270, 0.050)
Si (0.270, 0.050, 0.270)
Si (0.303, 0.261, 0.746)
Si (0.303, 0.746, 0.261)
Si (0.697, 0.739, 0.254)
Si (0.697, 0.254, 0.739)
H (0.829, 0.490, 0.601)
H (0.829, 0.601, 0.490)
H (0.171, 0.510, 0.399)
H (0.171, 0.399, 0.510)
H (0.282, 0.012, 0.904)
H (0.282, 0.904, 0.012)
H (0.718, 0.988, 0.096)
H (0.718, 0.096, 0.988)
O (0.500, 0.234, 0.766)
O (0.500, 0.766, 0.234)
O (0.538, 0.621, 0.898)
O (0.538, 0.898, 0.621)
O (0.462, 0.379, 0.102)
O (0.462, 0.102, 0.379)
O (0.891, 0.668, 0.925)
O (0.891, 0.925, 0.668)
O (0.109, 0.332, 0.075)
O (0.109, 0.075, 0.332)
O (0.184, 0.576, 0.881)
O (0.184, 0.881, 0.576)
O (0.816, 0.424, 0.119)
O (0.816, 0.119, 0.424)
O (0.308, 0.681, 0.681)
O (0.692, 0.319, 0.319)
O (0.729, 0.870, 0.870)
O (0.271, 0.130, 0.130)
O (0.756, 0.778, 0.110)
O (0.756, 0.110, 0.778)
O (0.244, 0.222, 0.890)
O (0.244, 0.890, 0.222)
O (0.313, 0.425, 0.723)
O (0.313, 0.723, 0.425)
O (0.687, 0.575, 0.277)
O (0.687, 0.277, 0.575)
O (0.162, 0.170, 0.620)
O (0.162, 0.620, 0.170)
O (0.838, 0.830, 0.380)
O (0.838, 0.380, 0.830)
O (0.860, 0.588, 0.588)
O (0.140, 0.412, 0.412)
O (0.267, 0.914, 0.914)
O (0.733, 0.086, 0.086)

***

The following is a DFT calculation (PBE) of a relaxed structure of Na7Sc3ZnP6O24.

## Properties
E_tot = -849.87 eV per cell
Density = 2.91 g/cm3
Magnetic moment = 0.00 μB/atom
Calculated volume = 1596.4 Å³/cell

Cell lengths 9.073, 9.075, 22.400 Å; angles 90.02, 90.02, 120.05 degrees
Sites, in units of the cell vectors:
Na (0.637, 0.008, 0.246)
Na (0.371, 0.362, 0.246)
Na (0.991, 0.629, 0.245)
Na (0.636, 0.628, 0.746)
Na (0.992, 0.364, 0.747)
Na (0.374, 0.008, 0.747)
Na (0.029, 0.697, 0.584)
Na (0.665, 0.970, 0.584)
Na (0.306, 0.971, 0.084)
Na (0.667, 0.695, 0.085)
Na (0.697, 0.032, 0.919)
Na (0.332, 0.301, 0.918)
Na (0.968, 0.294, 0.413)
Na (0.325, 0.031, 0.413)
Na (0.708, 0.676, 0.413)
Na (0.010, 0.011, 0.498)
Na (0.000, 0.000, 0.001)
Na (0.677, 0.344, 0.833)
Na (0.667, 0.333, 0.328)
Na (0.321, 0.654, 0.164)
Na (0.333, 0.654, 0.664)
Sc (0.999, 0.994, 0.852)
Sc (0.006, 0.006, 0.648)
Sc (0.001, 0.007, 0.149)
Sc (0.676, 0.340, 0.983)
Sc (0.663, 0.333, 0.484)
Sc (0.325, 0.661, 0.018)
Sc (0.333, 0.661, 0.518)
Sc (0.334, 0.667, 0.316)
Sc (0.330, 0.666, 0.816)
Zn (0.001, 0.000, 0.345)
Zn (0.664, 0.334, 0.679)
Zn (0.670, 0.334, 0.178)
P (0.296, 0.001, 0.251)
P (0.704, 0.704, 0.251)
P (0.999, 0.296, 0.253)
P (0.296, 0.295, 0.752)
P (0.000, 0.704, 0.749)
P (0.705, 0.000, 0.750)
P (0.961, 0.334, 0.585)
P (0.370, 0.036, 0.584)
P (0.666, 0.630, 0.585)
P (0.963, 0.630, 0.086)
P (0.666, 0.037, 0.084)
P (0.373, 0.334, 0.084)
P (0.628, 0.666, 0.917)
P (0.037, 0.370, 0.915)
P (0.333, 0.963, 0.917)
P (0.630, 0.963, 0.417)
P (0.333, 0.370, 0.416)
P (0.037, 0.667, 0.417)
O (0.217, 0.028, 0.308)
O (0.811, 0.784, 0.308)
O (0.971, 0.193, 0.311)
O (0.212, 0.189, 0.809)
O (0.977, 0.798, 0.802)
O (0.815, 0.022, 0.806)
O (0.790, 0.973, 0.694)
O (0.178, 0.206, 0.697)
O (0.027, 0.812, 0.691)
O (0.792, 0.817, 0.196)
O (0.027, 0.204, 0.199)
O (0.183, 0.975, 0.196)
O (0.883, 0.363, 0.641)
O (0.478, 0.113, 0.641)
O (0.644, 0.529, 0.642)
O (0.889, 0.532, 0.145)
O (0.635, 0.114, 0.140)
O (0.482, 0.364, 0.140)
O (0.460, 0.308, 0.028)
O (0.844, 0.539, 0.033)
O (0.686, 0.144, 0.027)
O (0.458, 0.144, 0.528)
O (0.692, 0.543, 0.529)
O (0.848, 0.309, 0.529)
O (0.541, 0.691, 0.972)
O (0.154, 0.460, 0.968)
O (0.315, 0.858, 0.973)
O (0.540, 0.853, 0.473)
O (0.310, 0.463, 0.469)
O (0.148, 0.689, 0.473)
O (0.123, 0.640, 0.362)
O (0.518, 0.878, 0.361)
O (0.361, 0.478, 0.359)
O (0.117, 0.472, 0.857)
O (0.359, 0.878, 0.861)
O (0.516, 0.641, 0.861)
O (0.018, 0.826, 0.413)
O (0.808, 0.982, 0.414)
O (0.174, 0.191, 0.412)
O (0.018, 0.189, 0.912)
O (0.178, 0.991, 0.913)
O (0.804, 0.830, 0.912)
O (0.974, 0.170, 0.589)
O (0.188, 0.010, 0.588)
O (0.830, 0.810, 0.588)
O (0.980, 0.810, 0.089)
O (0.822, 0.010, 0.088)
O (0.196, 0.169, 0.089)
O (0.685, 0.160, 0.746)
O (0.474, 0.314, 0.746)
O (0.841, 0.525, 0.745)
O (0.681, 0.523, 0.245)
O (0.841, 0.317, 0.245)
O (0.477, 0.158, 0.245)
O (0.641, 0.504, 0.922)
O (0.856, 0.344, 0.921)
O (0.497, 0.143, 0.921)
O (0.646, 0.142, 0.422)
O (0.496, 0.355, 0.422)
O (0.858, 0.504, 0.422)
O (0.356, 0.495, 0.077)
O (0.147, 0.660, 0.078)
O (0.504, 0.855, 0.078)
O (0.350, 0.855, 0.578)
O (0.513, 0.661, 0.579)
O (0.140, 0.495, 0.577)
O (0.312, 0.836, 0.255)
O (0.524, 0.689, 0.255)
O (0.163, 0.476, 0.256)
O (0.314, 0.476, 0.755)
O (0.163, 0.689, 0.754)
O (0.525, 0.837, 0.755)

***

The following is a DFT calculation (PBE) of a relaxed structure of ZrGa6FeCo5.

## Properties
E_tot = -71.63 eV per cell
Density = 8.18 g/cm3
Magnetic moment = 0.19 μB/atom
Calculated volume = 174.6 Å³/cell

Cell lengths 5.043, 6.408, 6.408 Å; angles 102.25, 113.17, 66.83 degrees
Sites, in units of the cell vectors:
Zr (0.998, 0.002, 0.998)
Ga (0.501, 0.998, 0.499)
Ga (0.000, 0.998, 0.499)
Ga (0.501, 0.501, 0.002)
Ga (0.000, 0.501, 0.002)
Ga (0.500, 0.785, 0.784)
Ga (0.500, 0.216, 0.215)
Fe (0.281, 0.219, 0.781)
Co (0.645, 0.355, 0.645)
Co (0.354, 0.646, 0.354)
Co (0.002, 0.347, 0.351)
Co (0.002, 0.649, 0.653)
Co (0.716, 0.784, 0.216)

***

The following is a DFT calculation (PBE) of a relaxed structure of GdB2Ir3.

## Properties
E_tot = -58.04 eV per cell
Density = 15.19 g/cm3
Calculated volume = 82.6 Å³/cell

Cell lengths 3.150, 5.503, 5.503 Å; angles 120.00, 90.00, 90.00 degrees
Sites, in units of the cell vectors:
Gd (0.500, 0.000, 0.000)
B (0.500, 0.667, 0.333)
B (0.500, 0.333, 0.667)
Ir (0.000, 0.000, 0.500)
Ir (0.000, 0.500, 0.500)
Ir (0.000, 0.500, 0.000)

***

Among the records above, which one has the lowest density? CeSe2

***

What is the formula in the first record? Cs2Na4Cu2Si12H4O31

***

Which of these has the lowest E_tot? Na7Sc3ZnP6O24